(1)
RbAsSe2 | r2SCAN | relaxed

abc: 23.6042 10.0260 9.5561
angles: 90.00 102.36 90.00
Closest atoms and distances in Å follow each position.
Space group C2/c (No. 15)
Inequivalent atoms, fractional coordinates:
Rb1 0.0000 0.0020 0.2500  6 Se 3.47-3.74
Rb2 0.0000 0.4635 0.2500  6 Se 3.53-3.75, 2 As 3.76
Rb3 0.1985 0.0759 0.3285  6 Se 3.46-3.82
As1 0.1087 0.3020 0.6486  3 Se 2.32-2.46
As2 0.1528 0.3574 0.0442  3 Se 2.30-2.48
Se1 0.0586 0.2815 0.9932  1 As 2.30
Se2 0.1031 0.0870 0.5577  1 As 2.32
Se3 0.1506 0.4071 0.4638  2 As 2.44-2.48
Se4 0.1951 0.2838 0.8444  2 As 2.45-2.46

***

(2)
Rb3AsSe16 | r2SCAN | relaxed

abc: 16.9421 16.9421 16.9421
angles: 90.00 90.00 90.00
Closest atoms and distances in Å follow each position.
Space group Fd-3 (No. 203, origin choice 2)
Inequivalent atoms, fractional coordinates:
Rb1 0.0000 0.0000 0.0000  12 Se 3.63-3.87, 2 As 3.67
Rb2 0.1250 0.1250 0.6250  12 Se 3.83
As1 0.1250 0.1250 0.1250  4 Se 2.33
Se1 0.0092 0.3188 0.6387  2 Se 2.39
Se2 0.0455 0.0455 0.2045  1 As 2.33

***

(3)
RbZn4As3 | r2SCAN | relaxed

abc: 4.1501 4.1501 10.4182
angles: 90.00 90.00 90.00
Closest atoms and distances in Å follow each position.
Space group P4/mmm (No. 123)
Inequivalent atoms, fractional coordinates:
Rb1 0.0000 0.0000 0.0000  8 As 3.66
Zn1 0.0000 0.5000 0.3423  4 As 2.49-2.65
As1 0.0000 0.0000 0.5000  8 Zn 2.65
As2 0.5000 0.5000 0.2105  4 Zn 2.49

***

(4)
Sr6As19Rh30 | r2SCAN | relaxed

abc: 16.2050 16.2050 3.9378
angles: 90.00 90.00 120.00
Closest atoms and distances in Å follow each position.
Space group P3 (No. 143)
Inequivalent atoms, fractional coordinates:
Sr1 0.0366 0.2735 0.0000  6 As 3.09-3.13, 8 Rh 3.21-3.46
Sr2 0.4298 0.3699 0.5007  6 As 3.09-3.13, 7 Rh 3.21-3.46
As1 0.0159 0.1168 0.5008  6 Rh 2.46-2.61
As2 0.0784 0.5496 0.0018  7 Rh 2.42-2.56
As3 0.1952 0.4116 0.4990  7 Rh 2.41-2.56
As4 0.2699 0.2327 0.0011  7 Rh 2.46-2.54
As5 0.3333 0.6667 0.7360  6 Rh 2.44-2.47
As6 0.3966 0.1005 0.4996  7 Rh 2.46-2.54
As7 0.5658 0.3494 0.9997  6 Rh 2.46-2.62
Rh1 0.0578 0.4409 0.4984  4 As 2.46-2.56
Rh2 0.0698 0.8190 0.5018  4 As 2.46-2.54
Rh3 0.1080 0.0934 0.0018  5 As 2.46-2.61
Rh4 0.1078 0.7167 0.0022  4 As 2.46-2.56
Rh5 0.1835 0.6422 0.4996  4 As 2.41-2.55
Rh6 0.2091 0.5179 0.0003  4 As 2.42-2.55
Rh7 0.2598 0.1304 0.5007  4 As 2.48-2.53
Rh8 0.4069 0.2031 0.9999  4 As 2.48-2.53
Rh9 0.4855 0.0825 0.9988  4 As 2.46-2.54
Rh10 0.5586 0.2399 0.4987  5 As 2.46-2.62

***

(5)
SrAs4Rh6 | r2SCAN | relaxed

abc: 7.2517 7.2517 3.8357
angles: 90.00 90.00 120.00
Closest atoms and distances in Å follow each position.
Space group P-6m2 (No. 187)
Inequivalent atoms, fractional coordinates:
Sr1 0.0000 0.0000 0.0000  6 As 3.07, 6 Rh 3.18
As1 0.3333 0.6667 0.0000  9 Rh 2.53
As2 0.3815 0.1907 0.5000  6 Rh 2.47-2.58
Rh1 0.2023 0.4045 0.5000  4 As 2.47-2.53
Rh2 0.5347 0.0694 0.0000  5 As 2.53-2.58

***

(6)
VAsRh | r2SCAN | relaxed

abc: 6.1194 3.9061 7.3092
angles: 90.00 90.00 90.00
Closest atoms and distances in Å follow each position.
Space group Pnma (No. 62)
Inequivalent atoms, fractional coordinates:
V1 0.0319 0.2500 0.1826  5 As 2.57-2.79, 1 Rh 2.87
As1 0.2461 0.2500 0.8808  4 Rh 2.40-2.51, 3 V 2.57-2.63
Rh1 0.1508 0.2500 0.5620  4 As 2.40-2.51

***

(7)
TeAsRu | r2SCAN | relaxed

abc: 6.3923 6.3272 6.4407
angles: 90.00 113.30 90.00
Closest atoms and distances in Å follow each position.
Space group P2_1/c (No. 14)
Inequivalent atoms, fractional coordinates:
Te1 0.1560 0.1248 0.3667  3 Ru 2.66-2.69, 1 As 2.71
As1 0.3539 0.6436 0.6697  3 Ru 2.43-2.44, 1 Te 2.71
Ru1 0.2849 0.5089 0.2948  3 As 2.43-2.44, 3 Te 2.66-2.69

***

(8)
U4As6Ru7 | r2SCAN | relaxed

abc: 8.3506 8.3506 8.3506
angles: 90.00 90.00 90.00
Closest atoms and distances in Å follow each position.
Space group Im-3m (No. 229)
Inequivalent atoms, fractional coordinates:
U1 0.2500 0.2500 0.2500  6 Ru 2.95, 6 As 3.00
As1 0.0000 0.0000 0.3127  5 Ru 2.61
Ru1 0.0000 0.0000 0.0000  6 As 2.61
Ru2 0.0000 0.2500 0.5000  4 As 2.61

***

(9)
AsS2 | r2SCAN | relaxed

abc: 7.3376 10.2597 8.0918
angles: 90.00 106.51 90.00
Closest atoms and distances in Å follow each position.
Space group P2_1 (No. 4)
Inequivalent atoms, fractional coordinates:
As1 0.0415 0.0000 0.3758  3 S 2.24-2.33
As2 0.1131 0.5093 0.1574  3 S 2.26-2.31
As3 0.2608 0.2926 0.9373  3 S 2.25-2.32
As4 0.4084 0.2997 0.4692  3 S 2.24-2.32
S1 0.0507 0.2919 0.6643  2 As 2.24-2.31
S2 0.0573 0.2935 0.1103  2 As 2.26-2.32
S3 0.2355 0.9725 0.6534  1 S 2.04
S4 0.2692 0.0038 0.2255  1 S 2.04
S5 0.3113 0.5083 0.9809  2 As 2.25-2.31
S6 0.3174 0.5086 0.4313  2 As 2.24-2.30
S7 0.3642 0.7946 0.6789  1 S 2.04
S8 0.3990 0.8262 0.2511  1 S 2.04

***

(10)
As4S3 | r2SCAN | relaxed

abc: 11.5703 10.1665 6.7958
angles: 90.00 90.00 90.00
Closest atoms and distances in Å follow each position.
Space group Pnma (No. 62)
Inequivalent atoms, fractional coordinates:
As1 0.0731 0.1268 0.2170  1 S 2.22
As2 0.0785 0.7500 0.6008  1 S 2.22, 2 As 2.49
As3 0.1862 0.2500 0.6674  3 S 2.24-2.25
S1 0.0067 0.7500 0.2978  2 As 2.22-2.25
S2 0.2005 0.0835 0.4518  2 As 2.22-2.24

***

(11)
As4S3 | r2SCAN | relaxed

abc: 9.4184 8.3966 10.2879
angles: 90.00 90.00 90.00
Closest atoms and distances in Å follow each position.
Space group Pnma (No. 62)
Inequivalent atoms, fractional coordinates:
As1 0.0155 0.2500 0.0655  1 S 2.22
As2 0.1439 0.6009 0.7845  1 S 2.22
As3 0.1609 0.2500 0.5561  3 S 2.25
S1 0.1097 0.7500 0.1168  2 As 2.22-2.25
S2 0.1719 0.0492 0.4121  2 As 2.22-2.25

***

(12)
SmAsS | r2SCAN | relaxed

abc: 17.3376 3.8760 3.9263
angles: 90.00 90.00 90.00
Closest atoms and distances in Å follow each position.
Space group Pnma (No. 62)
Inequivalent atoms, fractional coordinates:
Sm1 0.1456 0.2500 0.2344  5 S 2.84-2.91, 1 As 3.11
As1 0.0019 0.2500 0.7091  2 As 2.54
S1 0.1868 0.7500 0.7372  5 Sm 2.84-2.91

***

Number 1: energy -962.577 eV per cell, total magnetization 0.00 Bohr magnetons per cell. Number 2: energy -2348.584 eV per cell, total magnetization 0.00 Bohr magnetons per cell. Number 3: energy -96.789 eV per cell, total magnetization 0.00 Bohr magnetons per cell. Number 4: energy -1133.844 eV per cell, total magnetization 0.00 Bohr magnetons per cell. Number 5: energy -226.231 eV per cell, total magnetization 0.00 Bohr magnetons per cell. Number 6: energy -218.410 eV per cell, total magnetization 6.42 Bohr magnetons per cell. Number 7: energy -267.982 eV per cell, total magnetization 0.00 Bohr magnetons per cell. Number 8: energy -1196.958 eV per cell, total magnetization 16.25 Bohr magnetons per cell. Number 9: energy -248.684 eV per cell, total magnetization 0.00 Bohr magnetons per cell. Number 10: energy -335.367 eV per cell, total magnetization 0.00 Bohr magnetons per cell. Number 11: energy -335.381 eV per cell, total magnetization 0.00 Bohr magnetons per cell. Number 12: energy -231.596 eV per cell, total magnetization 0.00 Bohr magnetons per cell.